# Zn2Co3O8 | Materials Project | PBE+U | relaxed
# Uncorrected energy ... -139.88 eV for the cell shown
# Energy above the lowest structure with this stoichiometry ... 0.00 eV/f.u.
# E_form ... -1.302 eV per atom
data_Zn2Co3O8
_cell_length_a 5.8324
_cell_length_b 5.8324
_cell_length_c 9.4713
_cell_angle_alpha 90.00
_cell_angle_beta 90.00
_cell_angle_gamma 120.00
_space_group_name_H-M_alt 'P 63 m c'
_space_group_IT_number 186
_space_group_name_Hall 'P 6c -2c'
loop_
_atom_site_label
_atom_site_fract_x
_atom_site_fract_y
_atom_site_fract_z
Zn1 0.3333 0.6667 0.0000
Zn2 0.3333 0.6667 0.3986
Co1 0.1633 0.3267 0.7170
O1 0.0000 0.0000 0.3290
O2 0.0371 0.5185 0.8373
O3 0.1617 0.3234 0.1187
O4 0.3333 0.6667 0.6068

---

# ZnCoO2 | Materials Project | PBE+U | relaxed
# Uncorrected energy ... -83.78 eV for the cell shown
# E_form ... -1.424 eV per atom
data_ZnCoO2
_cell_length_a 3.0093
_cell_length_b 3.0553
_cell_length_c 19.8945
_cell_angle_alpha 89.15
_cell_angle_beta 85.73
_cell_angle_gamma 60.58
_space_group_name_H-M_alt 'P 1'
_space_group_IT_number 1
loop_
_space_group_symop_operation_xyz
'x,y,z'
loop_
_atom_site_label
_atom_site_fract_x
_atom_site_fract_y
_atom_site_fract_z
Zn1 0.0000 0.0000 0.0000
Zn2 0.0027 0.4989 0.5005
Zn3 0.4886 0.2733 0.7481
Zn4 0.4950 0.7752 0.2477
Co1 0.2461 0.8862 0.6243
Co2 0.2472 0.3873 0.1239
Co3 0.7446 0.6367 0.8741
Co4 0.7485 0.1368 0.3741
O1 0.1180 0.9524 0.8116
O2 0.1241 0.4559 0.3112
O3 0.3713 0.3211 0.9366
O4 0.3726 0.8175 0.4369
O5 0.6385 0.6562 0.0633
O6 0.6469 0.1558 0.5637
O7 0.8452 0.6168 0.6849
O8 0.8561 0.1184 0.1844

---

# ZnCo2O4 | Materials Project | PBE+U | relaxed
# Uncorrected energy ... -151.48 eV for the cell shown
# Energy above the lowest structure with this stoichiometry ... 1.30 eV/f.u.
# E_form ... -1.232 eV per atom
data_ZnCo2O4
_cell_length_a 9.1881
_cell_length_b 2.9563
_cell_length_c 10.2682
_cell_angle_alpha 90.00
_cell_angle_beta 90.00
_cell_angle_gamma 90.00
_space_group_name_H-M_alt 'P n m a'
_space_group_IT_number 62
loop_
_space_group_symop_operation_xyz
'x,y,z'
'-x,-y,-z'
'-x+1/2,-y,z+1/2'
'x+1/2,y,-z+1/2'
'x+1/2,-y+1/2,-z+1/2'
'-x+1/2,y+1/2,z+1/2'
'-x,y+1/2,-z'
'x,-y+1/2,z'
loop_
_atom_site_label
_atom_site_fract_x
_atom_site_fract_y
_atom_site_fract_z
Zn1 0.2448 0.2500 0.1560
Co1 0.0586 0.2500 0.3843
Co2 0.0934 0.2500 0.8967
O1 0.0594 0.7500 0.7773
O2 0.0974 0.2500 0.5640
O3 0.1151 0.7500 0.0429
O4 0.1952 0.7500 0.3229

---

Looking at total magnetization for the records above, in order, we have 6.0 12.0 8.0 μB per cell.